Cr4OF11: relaxed, PBE with a Hubbard U.

Results
ΔE to the lowest computed polymorph: 0.0 meV per atom

Unit cell a=5.065 b=5.334 c=16.906 alpha=88.97 beta=82.04 gamma=62.08
Space group P-1 (No. 2)
Asymmetric unit:
Cr 0.000 0.000 0.000 [1 per cell]
Cr 0.000 0.500 0.500 [1 per cell]
Cr 0.252 0.378 0.125 [2 per cell]
Cr 0.258 0.885 0.628 [2 per cell]
Cr 0.494 0.240 0.746 [2 per cell]
O 0.436 0.093 0.657 [2 per cell]
F 0.005 0.687 0.062 [2 per cell]
F 0.007 0.186 0.563 [2 per cell]
F 0.064 0.158 0.094 [2 per cell]
F 0.065 0.467 0.782 [2 per cell]
F 0.067 0.967 0.282 [2 per cell]
F 0.069 0.662 0.593 [2 per cell]
F 0.435 0.284 0.466 [2 per cell]
F 0.436 0.596 0.160 [2 per cell]
F 0.436 0.783 0.968 [2 per cell]
F 0.493 0.562 0.688 [2 per cell]
F 0.498 0.063 0.188 [2 per cell]

***

Cr4OF11: relaxed, PBE with a Hubbard U.

Results
ΔE to the lowest computed polymorph: 0.6 meV per atom

Unit cell a=5.058 b=5.342 c=16.920 alpha=83.27 beta=81.42 gamma=61.78
Space group P1 (No. 1)
Asymmetric unit:
Cr 0.000 0.000 0.000 [1 per cell]
Cr 0.098 0.124 0.625 [1 per cell]
Cr 0.229 0.262 0.245 [1 per cell]
Cr 0.366 0.384 0.870 [1 per cell]
Cr 0.481 0.506 0.496 [1 per cell]
Cr 0.588 0.646 0.118 [1 per cell]
Cr 0.746 0.770 0.743 [1 per cell]
Cr 0.856 0.884 0.371 [1 per cell]
O 0.204 0.852 0.089 [1 per cell]
O 0.952 0.977 0.714 [1 per cell]
F 0.001 0.423 0.153 [1 per cell]
F 0.013 0.042 0.278 [1 per cell]
F 0.040 0.446 0.683 [1 per cell]
F 0.172 0.822 0.558 [1 per cell]
F 0.203 0.228 0.964 [1 per cell]
F 0.262 0.289 0.531 [1 per cell]
F 0.262 0.666 0.403 [1 per cell]
F 0.295 0.698 0.933 [1 per cell]
F 0.430 0.071 0.808 [1 per cell]
F 0.452 0.103 0.338 [1 per cell]
F 0.452 0.477 0.213 [1 per cell]
F 0.511 0.916 0.652 [1 per cell]
F 0.521 0.547 0.778 [1 per cell]
F 0.539 0.947 0.183 [1 per cell]
F 0.678 0.321 0.058 [1 per cell]
F 0.701 0.725 0.464 [1 per cell]
F 0.703 0.353 0.590 [1 per cell]
F 0.764 0.165 0.906 [1 per cell]
F 0.767 0.792 0.027 [1 per cell]
F 0.791 0.197 0.433 [1 per cell]
F 0.924 0.572 0.308 [1 per cell]
F 0.959 0.600 0.838 [1 per cell]

***

Cr4OF11: relaxed, PBE with a Hubbard U.

Results
ΔE to the lowest computed polymorph: 0.2 meV per atom

Unit cell a=5.100 b=5.327 c=16.890 alpha=84.15 beta=81.33 gamma=61.43
Space group P-1 (No. 2)
Asymmetric unit:
Cr 0.000 0.000 0.000 [1 per cell]
Cr 0.113 0.141 0.628 [2 per cell]
Cr 0.241 0.268 0.254 [2 per cell]
Cr 0.379 0.370 0.874 [2 per cell]
Cr 0.500 0.500 0.500 [1 per cell]
O 0.185 0.563 0.313 [2 per cell]
F 0.066 0.685 0.937 [2 per cell]
F 0.090 0.093 0.342 [2 per cell]
F 0.097 0.717 0.467 [2 per cell]
F 0.155 0.531 0.782 [2 per cell]
F 0.158 0.156 0.907 [2 per cell]
F 0.316 0.945 0.189 [2 per cell]
F 0.344 0.343 0.593 [2 per cell]
F 0.350 0.968 0.717 [2 per cell]
F 0.403 0.782 0.032 [2 per cell]
F 0.406 0.408 0.158 [2 per cell]
F 0.424 0.817 0.564 [2 per cell]

***

CrOF: relaxed, PBE with a Hubbard U.

Unit cell a=5.123 b=4.601 c=5.626 alpha=90.00 beta=91.47 gamma=90.00
Space group P2_1/c (No. 14)
Asymmetric unit:
Cr 0.225 0.016 0.351 [4 per cell]
O 0.081 0.224 0.615 [4 per cell]
F 0.421 0.741 0.112 [4 per cell]

***

Electronic total energy per entry: -6.06; -6.06; -6.06; -7.05 eV per atom